Record 1
The following is a PBE-GGA calculation of NaH4IO7 after structural relaxation, from the Materials Project.

Lattice parameters (Å, degrees): 5.542 5.721 5.731 62.44 64.98 64.06
Element x y z (fractional)
O1 0.552 0.552 0.548
O2 0.166 0.632 0.981
O3 0.070 0.828 0.348
O4 0.633 0.962 0.164
O5 0.349 0.068 0.833
O6 0.820 0.360 0.058
O7 0.958 0.164 0.638
H1 0.961 0.450 0.017
H2 0.007 0.961 0.444
H3 0.337 0.629 0.809
H4 0.453 0.006 0.973
I1 0.982 0.011 0.994
Na1 0.369 0.354 0.371

Summary:
Formation energy (eV/atom): -0.935
Space-group type: P1, No. 1
Calculated volume (Å³ per atom): 10.71
Spin magnetization (μB/f.u.): 2.0


Record 2
The following is a PBE-GGA calculation of Nb6HI11 after structural relaxation, from the Materials Project.

Lattice parameters (Å, degrees): 11.560 13.875 15.920 90.00 90.00 90.00
Element x y z (fractional)
Nb1 0.899 0.025 0.897
Nb2 0.601 0.525 0.897
Nb3 0.068 0.877 0.949
Nb4 0.432 0.877 0.551
Nb5 0.867 0.420 0.449
Nb6 0.133 0.580 0.551
Nb7 0.367 0.580 0.949
Nb8 0.932 0.123 0.051
Nb9 0.399 0.975 0.397
Nb10 0.568 0.123 0.449
Nb11 0.633 0.920 0.449
Nb12 0.568 0.623 0.051
Nb13 0.101 0.475 0.397
Nb14 0.068 0.377 0.551
Nb15 0.432 0.377 0.949
Nb16 0.367 0.080 0.551
Nb17 0.601 0.025 0.603
Nb18 0.867 0.920 0.051
Nb19 0.899 0.525 0.603
Nb20 0.133 0.080 0.949
Nb21 0.101 0.975 0.103
Nb22 0.399 0.475 0.103
Nb23 0.932 0.623 0.449
Nb24 0.633 0.420 0.051
I1 0.831 0.304 0.123
I2 0.798 0.564 0.004
I3 0.474 0.776 0.394
I4 0.341 0.176 0.391
I5 0.026 0.276 0.394
I6 0.907 0.021 0.209
I7 0.669 0.304 0.377
I8 0.093 0.979 0.791
I9 0.159 0.676 0.391
I10 0.659 0.824 0.609
I11 0.593 0.521 0.209
I12 0.331 0.696 0.623
I13 0.298 0.436 0.504
I14 0.250 0.424 0.250
I15 0.831 0.804 0.377
I16 0.659 0.324 0.891
I17 0.169 0.696 0.877
I18 0.250 0.924 0.250
I19 0.907 0.521 0.291
I20 0.750 0.576 0.750
I21 0.093 0.479 0.709
I22 0.202 0.936 0.504
I23 0.026 0.776 0.106
I24 0.974 0.724 0.606
I25 0.702 0.564 0.496
I26 0.202 0.436 0.996
I27 0.526 0.724 0.894
I28 0.526 0.224 0.606
I29 0.331 0.196 0.877
I30 0.702 0.064 0.004
I31 0.593 0.021 0.291
I32 0.750 0.076 0.750
I33 0.974 0.224 0.894
I34 0.341 0.676 0.109
I35 0.669 0.804 0.123
I36 0.407 0.979 0.709
I37 0.169 0.196 0.623
I38 0.407 0.479 0.791
I39 0.298 0.936 0.996
I40 0.798 0.064 0.496
I41 0.474 0.276 0.106
I42 0.841 0.824 0.891
I43 0.159 0.176 0.109
I44 0.841 0.324 0.609
H1 0.500 0.000 0.500
H2 0.000 0.500 0.500
H3 0.500 0.500 0.000
H4 0.000 0.000 0.000

Summary:
Formation energy (eV/atom): -0.719
ΔE to the lowest computed polymorph (kcal/mol of atoms): 0.00
Space-group type: Pccn, No. 56
Calculated volume (Å³ per atom): 35.47
Spin magnetization (μB/f.u.): 3.9


Record 3
The following is a PBE-GGA calculation of Nb6HI11 after structural relaxation, from the Materials Project.

Lattice parameters (Å, degrees): 11.596 13.735 15.971 90.00 90.00 90.00
Element x y z (fractional)
I1 0.672 0.559 0.119
I2 0.425 0.235 0.791
I3 0.533 0.473 0.895
I4 0.351 0.427 0.112
I5 0.826 0.044 0.126
I6 0.977 0.979 0.898
I7 0.308 0.689 0.989
I8 0.709 0.813 0.989
I9 0.326 0.456 0.626
I10 0.308 0.189 0.511
I11 0.826 0.544 0.374
I12 0.808 0.811 0.489
I13 0.851 0.073 0.612
I14 0.977 0.479 0.602
I15 0.477 0.021 0.102
I16 0.156 0.933 0.112
I17 0.533 0.973 0.605
I18 0.851 0.573 0.888
I19 0.610 0.768 0.292
I20 0.709 0.313 0.511
I21 0.672 0.059 0.381
I22 0.033 0.027 0.395
I23 0.925 0.765 0.209
I24 0.656 0.567 0.612
I25 0.110 0.232 0.708
I26 0.425 0.735 0.709
I27 0.156 0.433 0.388
I28 0.110 0.732 0.792
I29 0.284 0.681 0.235
I30 0.284 0.181 0.265
I31 0.784 0.819 0.735
I32 0.209 0.687 0.489
I33 0.172 0.441 0.881
I34 0.925 0.265 0.291
I35 0.610 0.268 0.208
I36 0.033 0.527 0.105
I37 0.808 0.311 0.011
I38 0.656 0.067 0.888
I39 0.477 0.521 0.398
I40 0.351 0.927 0.388
I41 0.326 0.956 0.874
I42 0.784 0.319 0.765
I43 0.172 0.941 0.619
I44 0.209 0.187 0.011
Nb1 0.412 0.224 0.107
Nb2 0.912 0.276 0.607
Nb3 0.432 0.131 0.949
Nb4 0.932 0.869 0.051
Nb5 0.932 0.369 0.449
Nb6 0.873 0.674 0.049
Nb7 0.141 0.335 0.548
Nb8 0.116 0.227 0.401
Nb9 0.912 0.776 0.893
Nb10 0.578 0.372 0.051
Nb11 0.078 0.628 0.949
Nb12 0.412 0.724 0.393
Nb13 0.373 0.826 0.549
Nb14 0.432 0.631 0.551
Nb15 0.078 0.128 0.551
Nb16 0.641 0.165 0.048
Nb17 0.141 0.835 0.952
Nb18 0.373 0.326 0.951
Nb19 0.578 0.872 0.449
Nb20 0.116 0.727 0.099
Nb21 0.873 0.174 0.451
Nb22 0.641 0.665 0.452
Nb23 0.616 0.773 0.599
Nb24 0.616 0.273 0.901
H1 0.010 0.753 0.998
H2 0.510 0.247 0.002
H3 0.010 0.253 0.502
H4 0.510 0.747 0.498

Summary:
Formation energy (eV/atom): -0.710
ΔE to the lowest computed polymorph (kcal/mol of atoms): 0.21
Space-group type: Pna2_1, No. 33
Calculated volume (Å³ per atom): 35.33
Spin magnetization (μB/f.u.): 0.0


Record 4
The following is a PBE-GGA calculation of P4H4PtIO10 after structural relaxation, from the Materials Project.

Lattice parameters (Å, degrees): 10.623 10.623 10.623 125.48 125.48 80.75
Element x y z (fractional)
O1 0.699 0.062 0.762
O2 0.716 0.554 0.564
O3 0.554 0.991 0.838
O4 0.301 0.938 0.238
O5 0.431 0.236 0.435
O6 0.938 0.699 0.637
O7 0.062 0.301 0.363
O8 0.153 0.716 0.162
O9 0.991 0.153 0.436
O10 0.236 0.801 0.804
O11 0.446 0.009 0.162
O12 0.284 0.446 0.436
O13 0.801 0.997 0.565
O14 0.003 0.569 0.804
O15 0.847 0.284 0.838
O16 0.764 0.199 0.196
O17 0.009 0.847 0.564
O18 0.199 0.003 0.435
O19 0.569 0.764 0.565
O20 0.997 0.431 0.196
I1 0.748 0.748 0.000
I2 0.252 0.252 0.000
H1 0.626 0.084 0.987
H2 0.097 0.640 0.013
H3 0.640 0.626 0.542
H4 0.084 0.097 0.458
H5 0.916 0.903 0.542
H6 0.374 0.916 0.013
H7 0.360 0.374 0.458
H8 0.903 0.360 0.987
P1 0.657 0.923 0.763
P2 0.343 0.077 0.237
P3 0.923 0.160 0.266
P4 0.840 0.106 0.763
P5 0.106 0.343 0.266
P6 0.077 0.840 0.734
P7 0.160 0.894 0.237
P8 0.894 0.657 0.734
Pt1 0.912 0.912 0.000
Pt2 0.088 0.088 0.000

Summary:
Formation energy (eV/atom): -1.682
Space-group type: I4/m, No. 87
Calculated volume (Å³ per atom): 19.16
Spin magnetization (μB/f.u.): 2.0


Record 5
The following is a PBE-GGA calculation of HPbIO after structural relaxation, from the Materials Project.

Lattice parameters (Å, degrees): 4.260 7.945 10.643 90.00 90.00 90.00
Element x y z (fractional)
I1 0.250 0.453 0.821
I2 0.750 0.547 0.179
I3 0.750 0.047 0.321
I4 0.250 0.953 0.679
H1 0.250 0.811 0.109
H2 0.750 0.689 0.609
H3 0.250 0.311 0.391
H4 0.750 0.189 0.891
O1 0.250 0.383 0.465
O2 0.750 0.617 0.535
O3 0.250 0.883 0.035
O4 0.750 0.117 0.965
Pb1 0.250 0.182 0.081
Pb2 0.750 0.818 0.919
Pb3 0.750 0.318 0.581
Pb4 0.250 0.682 0.419

Summary:
Formation energy (eV/atom): -1.121
Space-group type: Pnma, No. 62
Calculated volume (Å³ per atom): 22.51
Spin magnetization (μB/f.u.): 0.0


Record 6
The following is a PBE-GGA calculation of H2PtPbI6O19 after structural relaxation, from the Materials Project.

Lattice parameters (Å, degrees): 7.662 7.680 7.700 96.93 97.32 97.57
Element x y z (fractional)
O1 0.103 0.081 0.344
O2 0.211 0.450 0.466
O3 0.082 0.343 0.103
O4 0.854 0.868 0.456
O5 0.345 0.105 0.084
O6 0.067 0.681 0.658
O7 0.467 0.217 0.456
O8 0.849 0.462 0.368
O9 0.368 0.853 0.456
O10 0.463 0.365 0.852
O11 0.058 0.181 0.744
O12 0.455 0.468 0.215
O13 0.658 0.065 0.680
O14 0.178 0.744 0.056
O15 0.868 0.455 0.856
O16 0.683 0.658 0.065
O17 0.743 0.058 0.180
O18 0.621 0.621 0.620
O19 0.458 0.861 0.871
I1 0.095 0.403 0.869
I2 0.056 0.620 0.420
I3 0.869 0.094 0.403
I4 0.419 0.051 0.620
I5 0.402 0.870 0.095
I6 0.623 0.419 0.055
H1 0.623 0.637 0.496
H2 0.630 0.496 0.627
Pb1 0.825 0.829 0.830
Pt1 0.275 0.275 0.276

Summary:
Formation energy (eV/atom): -0.914
Space-group type: P1, No. 1
Calculated volume (Å³ per atom): 15.21
Spin magnetization (μB/f.u.): 0.0